## Cd3BPO7 (GGA-PBE)

Data for a geometry-optimized Cd3BPO7 structure.

Summary:
energy with MP2020 corrections = -75.75 eV/f.u.
total DFT energy (no corrections) = -283.8 eV for the cell shown
total magnetization = 0.000 μB/atom
energy of formation from the pure elements = -2.1876 eV/atom

abc: 13.4949 8.9806 5.1694
angles: 90.00 90.00 90.00
Positions (direct):
Cd  0.0976  0.0893  0.0000
Cd  0.1366  0.5964  0.4840
Cd  0.2467  0.2614  0.4862
Cd  0.2533  0.7614  0.9862
Cd  0.3634  0.0964  0.9840
Cd  0.4024  0.5893  0.5000
Cd  0.5976  0.4107  0.0000
Cd  0.6366  0.9036  0.4840
Cd  0.7467  0.2386  0.4862
Cd  0.7533  0.7386  0.9862
Cd  0.8634  0.4036  0.9840
Cd  0.9024  0.9107  0.5000
B  0.2269  0.9307  0.4844
B  0.2731  0.4307  0.9844
B  0.7269  0.5693  0.4844
B  0.7731  0.0693  0.9844
P  0.0037  0.7295  0.0086
P  0.4963  0.2295  0.5086
P  0.5037  0.7705  0.0086
P  0.9963  0.2705  0.5086
O  0.0038  0.1133  0.3830
O  0.0094  0.7448  0.3104
O  0.0896  0.3604  0.4259
O  0.0981  0.6445  0.9197
O  0.2180  0.0396  0.6751
O  0.2196  0.9672  0.2226
O  0.2470  0.7834  0.5492
O  0.2530  0.2834  0.0492
O  0.2804  0.4672  0.7226
O  0.2820  0.5396  0.1751
O  0.4019  0.1445  0.4197
O  0.4104  0.8604  0.9259
O  0.4906  0.2448  0.8104
O  0.4962  0.6133  0.8830
O  0.5038  0.3867  0.3830
O  0.5094  0.7552  0.3104
O  0.5896  0.1396  0.4259
O  0.5981  0.8555  0.9197
O  0.7180  0.4604  0.6751
O  0.7196  0.5328  0.2226
O  0.7470  0.7166  0.5492
O  0.7530  0.2166  0.0492
O  0.7804  0.0328  0.7226
O  0.7820  0.9604  0.1751
O  0.9019  0.3555  0.4197
O  0.9104  0.6396  0.9259
O  0.9906  0.2552  0.8104
O  0.9962  0.8867  0.8830